First-principles (GGA-PBE) data for an optimized crystal structure of MgSi, as listed in Materials Project.

**Total magnetic moment**: 0.0003 μB/atom
**Electronic total energy**: -41.627 eV per cell
**Formation energy**: 0.0794 eV/atom

Unit cell a=3.8939 b=6.1977 c=10.1594 alpha=94.54 beta=96.50 gamma=107.19
With the nearest neighbours (Å) after each atom.
Positions (direct):
Mg (0.0000, 0.0000, 0.0000)  4 Si 2.67-2.77
Mg (0.0016, 0.7260, 0.4725)  6 Si 2.85-2.94, 1 Mg 3.17
Mg (0.2755, 0.5703, 0.9900)  5 Si 2.69-2.81
Mg (0.2844, 0.4142, 0.2771)  5 Si 2.69-2.79
Mg (0.5540, 0.2448, 0.7978)  6 Si 2.82-2.98
Mg (0.5630, 0.9849, 0.2736)  4 Si 2.68-2.80
Si (0.2705, 0.3471, 0.5351)  3 Si 2.40-2.59
Si (0.2837, 0.6140, 0.7287)  3 Si 2.40-2.59
Si (0.6676, 0.2937, 0.0842)  1 Si 2.45, 2 Mg 2.67-2.69
Si (0.6833, 0.0869, 0.5454)  3 Si 2.40-2.59
Si (0.8757, 0.8770, 0.7297)  3 Si 2.40-2.59
Si (0.8936, 0.6907, 0.1855)  1 Si 2.45, 2 Mg 2.68-2.71